Record 1
A relaxed structure of Rb2RhF6. Source: the Materials Project, functional PBE.

Computed properties:
Uncorrected energy, eV per atom: -4.4960
Formation energy, eV per atom: -2.491

abc: 6.0111 6.0111 4.9869
angles: 90.00 90.00 120.00
Space group P-3m1 (No. 164)
Unique sites:
Rb1 0.3333 0.6667 0.2019 [2 per cell]
Rh1 0.0000 0.0000 0.5000 [1 per cell]
F1 0.1567 0.3135 0.7165 [6 per cell]

=====

Record 2
A relaxed structure of Rb2TlRhF6. Source: the Materials Project, functional PBE.

Computed properties:
Uncorrected energy, eV per atom: -4.4435
Formation energy, eV per atom: -2.403

abc: 9.2612 9.2612 9.2612
angles: 90.00 90.00 90.00
Space group Fm-3m (No. 225)
Unique sites:
Rb1 0.2500 0.2500 0.2500 [8 per cell]
Tl1 0.0000 0.0000 0.0000 [4 per cell]
Rh1 0.0000 0.0000 0.5000 [4 per cell]
F1 0.0000 0.0000 0.2815 [24 per cell]

=====

Record 3
A relaxed structure of Rb3RuF12. Source: the Materials Project, functional PBE.

Computed properties:
Uncorrected energy, eV per atom: -3.5857
Formation energy, eV per atom: -1.733
Excess energy over the best structure of this formula in the dataset, meV per atom: 0

abc: 7.1053 14.3023 7.4118
angles: 90.00 115.08 90.00
Space group C2/m (No. 12)
Unique sites:
Rb1 0.0000 0.0000 0.0000 [2 per cell]
Rb2 0.2500 0.2500 0.5000 [4 per cell]
Ru1 0.0000 0.5000 0.5000 [2 per cell]
F1 0.1365 0.4051 0.6879 [8 per cell]
F2 0.1547 0.1864 0.7960 [8 per cell]
F3 0.1838 0.0646 0.7397 [8 per cell]

=====

The highest uncorrected energy belongs to which entry?
Rb3RuF12

=====

Which value of uncorrected energy does entry 1 give?
-4.4960 eV per atom

=====

The lowest formation energy belongs to which entry?
Rb2RhF6

=====

Which of these has the highest formation energy?
Rb3RuF12